This record from the Materials Project database describes a relaxed Te crystal. The functional is r²SCAN.

Lattice parameters (Å, degrees): 9.2140 3.1522 4.4566 90.00 90.00 90.00
With the nearest neighbours (Å) after each atom.
Space group Pmma (No. 51)
Asymmetric unit:
Te  0.0000  0.0000  0.0000  6 Te 3.14-3.27
Te  0.2500  0.0000  0.4794  6 Te 3.14-3.27

Output
Energy relative to the elements, eV per atom: 0.0785
Polymorph energy (0 for the lowest one), meV/atom: 78
Total magnetization, Bohr magnetons per cell: 0.00